Compound: Eu2Co12P7
Source: Materials Project
Functional: PBE
Structure: optimized geometry

Structure (POSCAR):
```
Eu2Co12P7
1.0
3.3741 0.7961 -0.9072
-2.3264 8.7486 -0.9752
2.8899 -3.0789 8.0463
Co Eu P
12 2 7
direct
0.5000 0.1323 0.8959
0.0000 0.2706 0.1520
0.0000 0.3759 0.9437
0.0000 0.8814 0.7294
0.5000 0.9495 0.5678
0.5000 0.6178 0.0502
0.5000 0.1033 0.2348
0.5000 0.4322 0.3822
0.0000 0.8479 0.1186
0.0000 0.0560 0.4318
0.0000 0.5680 0.6241
0.5000 0.7652 0.8686
0.0000 0.6665 0.3336
0.5000 0.3336 0.6666
0.0000 0.1100 0.7076
0.0000 0.9999 0.0005
0.5000 0.3983 0.1070
0.5000 0.8930 0.2912
0.0000 0.5977 0.8899
0.5000 0.7090 0.6019
0.0000 0.2923 0.4024
```

Properties
SG: Pm
E: -7.5411 eV per atom



Compound: LiNd14Cu6O28
Source: Materials Project
Functional: PBE
Structure: optimized geometry

Structure (POSCAR):
```
LiNd14Cu6O28
1.0
3.2186 -2.8420 7.6751
7.7524 3.8254 -1.6157
-1.7270 7.4672 4.5161
Cu Nd O Li
6 14 28 1
direct
0.4294 0.4294 0.7145
0.2864 0.2864 0.1426
0.8572 0.8572 0.4289
0.5706 0.5706 0.2855
0.1428 0.1428 0.5711
0.7136 0.7136 0.8574
0.5072 0.2070 0.4290
0.9353 0.6375 0.1425
0.6375 0.9353 0.1425
0.9226 0.2203 0.2849
0.2070 0.5072 0.4290
0.4928 0.7930 0.5710
0.2203 0.9226 0.2849
0.7797 0.0774 0.7151
0.0647 0.3625 0.8575
0.3505 0.6495 0.0000
0.7930 0.4928 0.5710
0.3625 0.0647 0.8575
0.0774 0.7797 0.7151
0.6495 0.3505 0.0000
0.3928 0.8924 0.0711
0.2492 0.7508 0.5000
0.7118 0.7118 0.3566
0.5733 0.5733 0.7860
0.1496 0.1496 0.0752
0.1076 0.6072 0.9289
0.0745 0.0745 0.7769
0.2882 0.2882 0.6434
0.8924 0.3928 0.0711
0.1789 0.6790 0.2137
0.0356 0.5355 0.6434
0.6072 0.1076 0.9289
0.3210 0.8211 0.7863
0.9255 0.9255 0.2231
0.3574 0.3574 0.9284
0.6426 0.6426 0.0716
0.4267 0.4267 0.2140
0.8504 0.8504 0.9248
0.4645 0.9644 0.3566
0.8211 0.3210 0.7863
0.5000 0.5000 0.5000
0.6790 0.1789 0.2137
0.0000 0.0000 0.5000
0.7863 0.7863 0.6388
0.9644 0.4645 0.3566
0.7508 0.2492 0.5000
0.5355 0.0356 0.6434
0.2137 0.2137 0.3612
0.0000 0.0000 0.0000
```

Properties
SG: C2/m
Total energy after the MP2020 corrections: -7.74 eV/atom



Compound: MgTi4O9
Source: Materials Project
Functional: PBE
Structure: optimized geometry

Structure (POSCAR):
```
MgTi4O9
1.0
8.4504 0.0000 0.0000
0.0000 8.4504 0.0000
0.0000 0.0000 4.9782
Mg O Ti
2 18 8
direct
0.0000 0.5000 0.1028
0.5000 0.0000 0.8972
0.1064 0.2941 0.4614
0.7941 0.3936 0.4614
0.7059 0.1064 0.5386
0.4356 0.7738 0.0496
0.7262 0.9356 0.0496
0.0644 0.7262 0.9504
0.2262 0.4356 0.9504
0.9356 0.2738 0.9504
0.8936 0.7059 0.4614
0.3936 0.2059 0.5386
0.2738 0.0644 0.0496
0.2941 0.8936 0.5386
0.5644 0.2262 0.0496
0.6064 0.7941 0.5386
0.7738 0.5644 0.9504
0.5000 0.5000 0.5000
0.0000 0.0000 0.5000
0.2059 0.6064 0.4614
0.2194 0.0893 0.3738
0.4107 0.7194 0.3738
0.5893 0.2806 0.3738
0.7194 0.5893 0.6262
0.2806 0.4107 0.6262
0.0893 0.7806 0.6262
0.9107 0.2194 0.6262
0.7806 0.9107 0.3738
```

Properties
SG: P4/n
Total energy after the MP2020 corrections: -8.85 eV/atom



Compound: Sm2Ga9Co3
Source: Materials Project
Functional: PBE
Structure: optimized geometry

Structure (POSCAR):
```
Sm2Ga9Co3
1.0
3.7239 -6.4022 0.0000
3.7239 6.4022 0.0000
0.0000 0.0000 9.5086
Ga Co Sm
18 6 4
direct
0.4981 0.1656 0.4288
0.8346 0.8346 0.4447
0.9512 0.1631 0.2500
0.8344 0.5019 0.9288
0.3766 0.3766 0.2500
0.5019 0.8344 0.5712
0.0488 0.8369 0.7500
0.1654 0.1654 0.5553
0.5019 0.8344 0.9288
0.1656 0.4981 0.4288
0.1631 0.9512 0.2500
0.8346 0.8346 0.0553
0.6234 0.6234 0.7500
0.4981 0.1656 0.0712
0.1656 0.4981 0.0712
0.8369 0.0488 0.7500
0.1654 0.1654 0.9447
0.8344 0.5019 0.5712
0.1707 0.8293 0.5000
0.8293 0.1707 0.5000
0.1707 0.8293 0.0000
0.5000 0.5000 0.5000
0.8293 0.1707 0.0000
0.5000 0.5000 0.0000
0.4970 0.1687 0.7500
0.8313 0.5030 0.2500
0.1687 0.4970 0.7500
0.5030 0.8313 0.2500
```

Properties
SG: Cmcm
E: -4.6263 eV per atom



Compound: Na2NbGa3P4S2O24
Source: Materials Project
Functional: PBE
Structure: optimized geometry

Structure (POSCAR):
```
Na2NbGa3P4S2O24
1.0
8.5762 0.0016 0.0159
-4.2867 7.4266 -0.0028
0.0402 0.0154 22.3232
Ga O Na P S Nb
9 72 6 12 6 3
direct
0.0005 0.0003 0.8517
0.6749 0.3328 0.4804
0.9989 0.0018 0.1457
0.3348 0.6761 0.5166
0.0005 0.0000 0.6543
0.6667 0.3338 0.6901
0.3254 0.6580 0.0180
0.6779 0.3506 0.1843
0.9811 0.9893 0.3515
0.4977 0.3605 0.4238
0.1950 0.0253 0.5888
0.0373 0.2064 0.1932
0.6371 0.1446 0.4241
0.6338 0.1223 0.1389
0.2114 0.0332 0.3051
0.3077 0.8401 0.2562
0.6864 0.5188 0.2437
0.4922 0.3634 0.1408
0.2998 0.4544 0.4720
0.1875 0.1614 0.0903
0.1745 0.2120 0.6918
0.8300 0.0280 0.0889
0.8806 0.5086 0.1398
0.0379 0.8257 0.6917
0.0226 0.1853 0.9092
0.1405 0.4973 0.5761
0.1487 0.6462 0.0763
0.2085 0.1725 0.8061
0.8121 0.9786 0.4109
0.8276 0.3061 0.2428
0.9689 0.1739 0.3072
0.6397 0.5021 0.9231
0.5006 0.1392 0.9243
0.8273 0.0358 0.8060
0.1580 0.4555 0.9733
0.5421 0.8385 0.4739
0.3653 0.8703 0.8615
0.6968 0.5421 0.5280
0.5008 0.6393 0.5762
0.4727 0.1619 0.2434
0.9764 0.1701 0.5891
0.4572 0.1558 0.5283
0.5040 0.8629 0.0776
0.8288 0.8042 0.5885
0.8261 0.7876 0.3061
0.1781 0.9657 0.1959
0.3593 0.8626 0.5773
0.5396 0.7014 0.9743
0.8402 0.5361 0.0289
0.1720 0.1954 0.4099
0.8475 0.3009 0.5288
0.5054 0.8682 0.3625
0.4787 0.3100 0.7419
0.1636 0.4721 0.2586
0.8133 0.8365 0.9097
0.5049 0.6349 0.8614
0.1297 0.6355 0.3622
0.6337 0.5108 0.6369
0.3651 0.4875 0.3636
0.8313 0.5213 0.7420
0.6900 0.1688 0.7420
0.7883 0.9625 0.6917
0.1582 0.6997 0.4737
0.3602 0.5043 0.0770
0.4631 0.3025 0.0291
0.7936 0.8299 0.1930
0.5263 0.6917 0.2584
0.1644 0.9766 0.9097
0.5274 0.8358 0.7565
0.8586 0.3574 0.9242
0.9638 0.7914 0.8062
0.8536 0.4977 0.4240
0.6963 0.1546 0.0301
0.1642 0.6915 0.7564
0.9732 0.8128 0.0902
0.4894 0.1242 0.6369
0.3088 0.4730 0.7565
0.8781 0.3667 0.6370
0.1284 0.4942 0.8613
0.0283 0.8404 0.4088
0.3006 0.8394 0.9742
0.3310 0.6606 0.1616
0.6667 0.3326 0.8301
0.9970 0.9963 0.4997
0.6735 0.3365 0.3324
0.0028 0.0001 0.9989
0.3336 0.6666 0.6662
0.7197 0.0073 0.7492
0.9928 0.7123 0.7493
0.2877 0.2807 0.7492
0.0392 0.6695 0.4188
0.9896 0.2773 0.2489
0.9644 0.6304 0.0852
0.6263 0.9604 0.4190
0.3252 0.9507 0.9184
0.3719 0.3339 0.0866
0.0469 0.3715 0.9175
0.6251 0.6783 0.9178
0.7193 0.7113 0.2484
0.6661 0.6230 0.5828
0.3324 0.3729 0.4184
0.6649 0.0414 0.0849
0.9587 0.3332 0.5834
0.3767 0.0450 0.5831
0.2892 0.0077 0.2496
0.3311 0.6667 0.3113
0.6641 0.3403 0.9786
0.3326 0.6671 0.8105
```

Properties
SG: P1
Total energy after the MP2020 corrections: -7.19 eV/atom



Compound: Li2BiO3
Source: Materials Project
Functional: PBE
Structure: optimized geometry

Structure (POSCAR):
```
Li2BiO3
1.0
2.8684 -5.0657 0.0000
2.8684 5.0657 0.0000
0.0000 0.0000 5.6031
Li Bi O
4 2 6
direct
0.1474 0.5069 0.9713
0.8526 0.4931 0.4713
0.5069 0.1474 0.9713
0.4931 0.8526 0.4713
0.7907 0.7907 0.9669
0.2093 0.2093 0.4669
0.1829 0.5251 0.6128
0.1555 0.1555 0.0679
0.5251 0.1829 0.6128
0.8171 0.4749 0.1128
0.8445 0.8445 0.5679
0.4749 0.8171 0.1128
```

Properties
SG: Cmc2_1
Energy relative to the lowest polymorph listed for this composition: 7.0 kJ per mole of atoms
Total energy after the MP2020 corrections: -5.54 eV/atom



Compound: Sm3Rh
Source: Materials Project
Functional: PBE
Structure: optimized geometry

Structure (POSCAR):
```
Sm3Rh
1.0
6.4140 0.0000 0.0000
0.0000 7.2813 0.0000
0.0000 0.0000 9.7659
Rh Sm
4 12
direct
0.4343 0.3812 0.2500
0.9343 0.1188 0.7500
0.0657 0.8812 0.2500
0.5657 0.6188 0.7500
0.6678 0.3218 0.5643
0.3322 0.6782 0.0643
0.6369 0.0318 0.2500
0.6678 0.3218 0.9357
0.1678 0.1782 0.0643
0.3631 0.9682 0.7500
0.3322 0.6782 0.4357
0.8322 0.8218 0.5643
0.8631 0.5318 0.2500
0.1678 0.1782 0.4357
0.1369 0.4682 0.7500
0.8322 0.8218 0.9357
```

Properties
SG: Pnma
E: -5.8351 eV per atom



Compound: Sr3Al2Ge4
Source: Materials Project
Functional: PBE
Structure: optimized geometry

Structure (POSCAR):
```
Sr3Al2Ge4
1.0
4.0332 -2.3147 4.8378
6.0823 -2.5852 1.1625
5.5239 6.5524 2.5976
Sr Al Ge
3 2 4
direct
0.3940 0.3940 0.6870
0.6060 0.6060 0.3130
0.0000 0.0000 0.0000
0.7051 0.7051 0.6501
0.2949 0.2949 0.3499
0.8937 0.8937 0.3915
0.7116 0.7116 0.9443
0.1063 0.1063 0.6085
0.2884 0.2884 0.0557
```

Properties
SG: C2/m
E: -3.9514 eV per atom



Compound: NdSmO2
Source: Materials Project
Functional: PBE
Structure: optimized geometry

Structure (POSCAR):
```
NdSmO2
1.0
-2.5013 2.5013 5.0036
2.5013 -2.5013 5.0036
2.5013 2.5013 -5.0036
O Sm Nd
4 2 2
direct
0.4975 0.9975 0.5000
0.7475 0.7475 0.0000
0.2525 0.2525 0.0000
0.0025 0.5025 0.5000
0.5000 0.5000 0.0000
0.2500 0.7500 0.5000
0.7500 0.2500 0.5000
0.0000 0.0000 0.0000
```

Properties
SG: I4_1/amd
Energy relative to the lowest polymorph listed for this composition: 1.3 kJ per mole of atoms
Total energy after the MP2020 corrections: -7.93 eV/atom



Compound: KHgC3S3N3
Source: Materials Project
Functional: PBE
Structure: optimized geometry

Structure (POSCAR):
```
KHgC3S3N3
1.0
-3.7460 1.6727 0.1995
-2.7277 -4.8302 -10.7205
-9.1412 -20.2871 -1.5494
N S C K Hg
12 12 12 4 4
direct
0.2084 0.3954 0.3307
0.2867 0.6208 0.8983
0.1961 0.7914 0.2236
0.2133 0.6208 0.3983
0.7133 0.3792 0.1017
0.8039 0.2086 0.7764
0.2916 0.3954 0.8307
0.3039 0.7914 0.7236
0.7867 0.3792 0.6017
0.7084 0.6046 0.1693
0.7916 0.6046 0.6693
0.6961 0.2086 0.2764
0.3418 0.0571 0.1679
0.2824 0.6691 0.5091
0.2656 0.1270 0.4319
0.7176 0.3309 0.4909
0.2176 0.6691 0.0091
0.2344 0.1270 0.9319
0.8418 0.9429 0.3321
0.1582 0.0571 0.6679
0.7656 0.8730 0.0681
0.7344 0.8730 0.5681
0.7824 0.3309 0.9909
0.6582 0.9429 0.8321
0.7559 0.3588 0.5559
0.7441 0.3588 0.0559
0.7679 0.7161 0.6269
0.2679 0.2839 0.8731
0.2465 0.9028 0.6981
0.2559 0.6412 0.9441
0.7535 0.0972 0.3019
0.2321 0.2839 0.3731
0.2441 0.6412 0.4441
0.7321 0.7161 0.1269
0.2535 0.9028 0.1981
0.7465 0.0972 0.8019
0.7891 0.5948 0.8098
0.2109 0.4052 0.1902
0.7109 0.5948 0.3098
0.2891 0.4052 0.6902
0.7895 0.8552 0.4603
0.7105 0.8552 0.9603
0.2895 0.1448 0.0397
0.2105 0.1448 0.5397
```

Properties
SG: P2_1/c
Total energy after the MP2020 corrections: -6.26 eV/atom



Compound: LiEr6Ta2O14
Source: Materials Project
Functional: PBE
Structure: optimized geometry

Structure (POSCAR):
```
LiEr6Ta2O14
1.0
6.6198 0.0874 0.0086
-2.3050 6.2062 0.0086
0.0109 0.0158 7.2282
O Er Ta Li
14 6 2 1
direct
0.5693 0.8246 0.4598
0.1946 0.4782 0.5357
0.1554 0.8972 0.2459
0.8246 0.5693 0.4598
0.1902 0.4687 0.9630
0.4222 0.4222 0.2487
0.8972 0.1554 0.2459
0.4687 0.1902 0.9630
0.8407 0.1080 0.7460
0.6405 0.6405 0.7482
0.4782 0.1946 0.5357
0.5643 0.8222 0.0351
0.8222 0.5643 0.0351
0.1080 0.8407 0.7460
0.9179 0.9179 0.9800
0.9510 0.4723 0.7473
0.0520 0.5342 0.2488
0.5342 0.0520 0.2488
0.9262 0.9262 0.5055
0.4723 0.9510 0.7473
0.4910 0.4910 0.9784
0.4923 0.4923 0.5165
0.1850 0.1850 0.2199
```

Properties
SG: Cm
Energy relative to the lowest polymorph listed for this composition: 4.2 kJ per mole of atoms
Total energy after the MP2020 corrections: -8.96 eV/atom



Compound: Rb2NaScBr6
Source: Materials Project
Functional: PBE
Structure: optimized geometry

Structure (POSCAR):
```
Rb2NaScBr6
1.0
0.0000 5.5781 5.5781
5.5781 0.0000 5.5781
5.5781 5.5781 0.0000
Br Sc Na Rb
6 1 1 2
direct
0.2384 0.7616 0.2384
0.2384 0.2384 0.7616
0.7616 0.7616 0.2384
0.2384 0.7616 0.7616
0.7616 0.2384 0.2384
0.7616 0.2384 0.7616
0.0000 0.0000 0.0000
0.5000 0.5000 0.5000
0.7500 0.7500 0.7500
0.2500 0.2500 0.2500
```

Properties
SG: Fm-3m
Total energy after the MP2020 corrections: -4.00 eV/atom